# U2Al6Pd3Pt

A relaxed structure of U2Al6Pd3Pt (PBE, the Materials Project database).

Structure (CIF):
```
data_U2Al6Pd3Pt
_chemical_formula_sum 'U2 Al6 Pd3 Pt1'
_cell_length_a 4.232
_cell_length_b 5.374
_cell_length_c 9.288
_cell_angle_alpha 90.00
_cell_angle_beta 90.00
_cell_angle_gamma 90.00
_space_group_name_H-M_alt 'P 1'
_space_group_IT_number 1
_space_group_name_Hall 'P 1'
loop_
_atom_site_label
_atom_site_fract_x
_atom_site_fract_y
_atom_site_fract_z
U1 0.000 0.000 0.000
U2 0.000 0.500 0.498
Al1 0.500 0.000 0.499
Al2 0.500 0.250 0.249
Al3 0.500 0.250 0.749
Al4 0.500 0.500 0.999
Al5 0.500 0.750 0.249
Al6 0.500 0.750 0.749
Pd1 0.000 0.000 0.667
Pd2 0.000 0.500 0.164
Pd3 0.000 0.500 0.833
Pt1 0.000 0.000 0.332
```

Computed properties:
Space group   Pmm2
DFT formation energy   -7.49 eV/f.u.

***

# Sc6Al16Pd7

A relaxed structure of Sc6Al16Pd7 (PBE, the Materials Project database).

Structure (CIF):
```
data_Sc6Al16Pd7
_chemical_formula_sum 'Sc6 Al16 Pd7'
_cell_length_a 8.817
_cell_length_b 8.817
_cell_length_c 8.817
_cell_angle_alpha 60.00
_cell_angle_beta 60.00
_cell_angle_gamma 60.00
_space_group_name_H-M_alt 'P 1'
_space_group_IT_number 1
_space_group_name_Hall 'P 1'
loop_
_atom_site_label
_atom_site_fract_x
_atom_site_fract_y
_atom_site_fract_z
Sc1 0.192 0.192 0.808
Sc2 0.192 0.808 0.192
Sc3 0.192 0.808 0.808
Sc4 0.808 0.192 0.192
Sc5 0.808 0.192 0.808
Sc6 0.808 0.808 0.192
Al1 0.138 0.621 0.621
Al2 0.165 0.165 0.165
Al3 0.165 0.165 0.504
Al4 0.165 0.504 0.165
Al5 0.379 0.379 0.379
Al6 0.379 0.379 0.862
Al7 0.379 0.862 0.379
Al8 0.496 0.835 0.835
Al9 0.504 0.165 0.165
Al10 0.621 0.138 0.621
Al11 0.621 0.621 0.138
Al12 0.621 0.621 0.621
Al13 0.835 0.496 0.835
Al14 0.835 0.835 0.496
Al15 0.835 0.835 0.835
Al16 0.862 0.379 0.379
Pd1 0.000 0.000 0.500
Pd2 0.000 0.500 0.000
Pd3 0.000 0.500 0.500
Pd4 0.500 0.000 0.000
Pd5 0.500 0.000 0.500
Pd6 0.500 0.500 0.000
Pd7 0.500 0.500 0.500
```

Computed properties:
Space group   Fm-3m
DFT formation energy   -21.23 eV/f.u.

***

# Al3SiPd4

A relaxed structure of Al3SiPd4 (PBE, the Materials Project database).

Structure (CIF):
```
data_Al3SiPd4
_chemical_formula_sum 'Al3 Si1 Pd4'
_cell_length_a 4.889
_cell_length_b 4.889
_cell_length_c 4.889
_cell_angle_alpha 90.59
_cell_angle_beta 90.59
_cell_angle_gamma 90.59
_space_group_name_H-M_alt 'P 1'
_space_group_IT_number 1
_space_group_name_Hall 'P 1'
loop_
_atom_site_label
_atom_site_fract_x
_atom_site_fract_y
_atom_site_fract_z
Al1 0.107 0.600 0.292
Al2 0.292 0.107 0.600
Al3 0.600 0.292 0.107
Si1 0.794 0.794 0.794
Pd1 0.094 0.094 0.094
Pd2 0.306 0.606 0.802
Pd3 0.606 0.802 0.306
Pd4 0.802 0.306 0.606
```

Computed properties:
Space group   R3
DFT formation energy   -6.57 eV/f.u.

***

# Al17Si4Pd8

A relaxed structure of Al17Si4Pd8 (PBE, the Materials Project database).

Structure (CIF):
```
data_Al17Si4Pd8
_chemical_formula_sum 'Al34 Si8 Pd16'
_cell_length_a 10.648
_cell_length_b 10.648
_cell_length_c 10.648
_cell_angle_alpha 104.91
_cell_angle_beta 104.91
_cell_angle_gamma 119.04
_space_group_name_H-M_alt 'P 1'
_space_group_IT_number 1
_space_group_name_Hall 'P 1'
loop_
_atom_site_label
_atom_site_fract_x
_atom_site_fract_y
_atom_site_fract_z
Al1 0.012 0.424 0.085
Al2 0.076 0.661 0.588
Al3 0.079 0.999 0.274
Al4 0.138 0.319 0.261
Al5 0.161 0.073 0.585
Al6 0.176 0.155 0.042
Al7 0.181 0.942 0.819
Al8 0.225 0.805 0.226
Al9 0.305 0.579 0.580
Al10 0.345 0.887 0.021
Al11 0.366 0.324 0.479
Al12 0.375 0.125 0.250
Al13 0.377 0.638 0.319
Al14 0.387 0.866 0.542
Al15 0.427 0.512 0.088
Al16 0.442 0.123 0.761
Al17 0.499 0.725 0.920
Al18 0.501 0.275 0.080
Al19 0.558 0.877 0.239
Al20 0.573 0.488 0.912
Al21 0.613 0.134 0.458
Al22 0.623 0.362 0.681
Al23 0.625 0.875 0.750
Al24 0.634 0.676 0.521
Al25 0.655 0.113 0.979
Al26 0.695 0.421 0.420
Al27 0.775 0.195 0.774
Al28 0.819 0.058 0.181
Al29 0.824 0.845 0.958
Al30 0.839 0.927 0.415
Al31 0.862 0.681 0.739
Al32 0.921 0.001 0.726
Al33 0.924 0.339 0.412
Al34 0.988 0.576 0.915
Si1 0.071 0.786 0.384
Si2 0.098 0.312 0.884
Si3 0.188 0.571 0.785
Si4 0.286 0.402 0.715
Si5 0.714 0.598 0.285
Si6 0.812 0.429 0.215
Si7 0.902 0.688 0.116
Si8 0.929 0.214 0.616
Pd1 0.071 0.208 0.445
Pd2 0.090 0.877 0.022
Pd3 0.126 0.571 0.363
Pd4 0.263 0.626 0.055
Pd5 0.292 0.237 0.863
Pd6 0.355 0.067 0.478
Pd7 0.377 0.855 0.787
Pd8 0.433 0.410 0.287
Pd9 0.567 0.590 0.713
Pd10 0.623 0.145 0.213
Pd11 0.645 0.933 0.522
Pd12 0.708 0.763 0.137
Pd13 0.737 0.374 0.945
Pd14 0.874 0.429 0.637
Pd15 0.910 0.123 0.978
Pd16 0.929 0.792 0.555
```

Computed properties:
Space group   I4_1/a
DFT formation energy   -13.47 eV/f.u.

***

# Sr2Al5Pd4

A relaxed structure of Sr2Al5Pd4 (PBE, the Materials Project database).

Structure (CIF):
```
data_Sr2Al5Pd4
_chemical_formula_sum 'Sr8 Al20 Pd16'
_cell_length_a 18.310
_cell_length_b 4.322
_cell_length_c 11.139
_cell_angle_alpha 90.00
_cell_angle_beta 90.00
_cell_angle_gamma 90.00
_space_group_name_H-M_alt 'P 1'
_space_group_IT_number 1
_space_group_name_Hall 'P 1'
loop_
_atom_site_label
_atom_site_fract_x
_atom_site_fract_y
_atom_site_fract_z
Sr1 0.008 0.250 0.239
Sr2 0.193 0.750 0.166
Sr3 0.307 0.250 0.666
Sr4 0.492 0.750 0.739
Sr5 0.508 0.250 0.261
Sr6 0.693 0.750 0.334
Sr7 0.807 0.250 0.834
Sr8 0.992 0.750 0.761
Al1 0.047 0.250 0.544
Al2 0.101 0.250 0.953
Al3 0.163 0.750 0.609
Al4 0.173 0.750 0.858
Al5 0.178 0.250 0.429
Al6 0.322 0.750 0.929
Al7 0.327 0.250 0.358
Al8 0.337 0.250 0.109
Al9 0.399 0.750 0.453
Al10 0.453 0.750 0.044
Al11 0.547 0.250 0.956
Al12 0.601 0.250 0.547
Al13 0.663 0.750 0.891
Al14 0.673 0.750 0.642
Al15 0.678 0.250 0.071
Al16 0.822 0.750 0.571
Al17 0.827 0.250 0.142
Al18 0.837 0.250 0.391
Al19 0.899 0.750 0.047
Al20 0.953 0.750 0.456
Pd1 0.048 0.750 0.015
Pd2 0.091 0.750 0.420
Pd3 0.136 0.250 0.725
Pd4 0.244 0.250 0.935
Pd5 0.256 0.750 0.435
Pd6 0.364 0.750 0.225
Pd7 0.409 0.250 0.920
Pd8 0.452 0.250 0.515
Pd9 0.548 0.750 0.485
Pd10 0.591 0.750 0.080
Pd11 0.636 0.250 0.775
Pd12 0.744 0.250 0.565
Pd13 0.756 0.750 0.065
Pd14 0.864 0.750 0.275
Pd15 0.909 0.250 0.580
Pd16 0.952 0.250 0.985
```

Computed properties:
Space group   Pnma
DFT formation energy   -8.14 eV/f.u.

***

# Tb2Al9Pd3

A relaxed structure of Tb2Al9Pd3 (PBE, the Materials Project database).

Structure (CIF):
```
data_Tb2Al9Pd3
_chemical_formula_sum 'Tb4 Al18 Pd6'
_cell_length_a 7.670
_cell_length_b 7.670
_cell_length_c 9.512
_cell_angle_alpha 90.00
_cell_angle_beta 90.00
_cell_angle_gamma 60.29
_space_group_name_H-M_alt 'P 1'
_space_group_IT_number 1
_space_group_name_Hall 'P 1'
loop_
_atom_site_label
_atom_site_fract_x
_atom_site_fract_y
_atom_site_fract_z
Tb1 0.006 0.669 0.750
Tb2 0.331 0.994 0.750
Tb3 0.669 0.006 0.250
Tb4 0.994 0.331 0.250
Al1 0.001 0.666 0.076
Al2 0.001 0.666 0.424
Al3 0.128 0.872 0.250
Al4 0.334 0.666 0.559
Al5 0.334 0.666 0.941
Al6 0.334 0.999 0.076
Al7 0.334 0.999 0.424
Al8 0.337 0.455 0.250
Al9 0.455 0.337 0.750
Al10 0.545 0.663 0.250
Al11 0.663 0.545 0.750
Al12 0.666 0.001 0.576
Al13 0.666 0.001 0.924
Al14 0.666 0.334 0.059
Al15 0.666 0.334 0.441
Al16 0.872 0.128 0.750
Al17 0.999 0.334 0.576
Al18 0.999 0.334 0.924
Pd1 0.000 0.000 0.000
Pd2 0.000 0.000 0.500
Pd3 0.329 0.329 0.000
Pd4 0.329 0.329 0.500
Pd5 0.671 0.671 0.000
Pd6 0.671 0.671 0.500
```

Computed properties:
Space group   Cmcm
DFT formation energy   -9.73 eV/f.u.

***

Total DFT energy (no corrections) for the records above, in order: -74.2, -155.4, -44.0, -280.6, -203.9, -136.5 eV per cell